No. 1
Computed, not measured: an optimized crystal structure of ScSnRh2 at the PBE level of DFT.

Output
Formation enthalpy at 0 K ... -876 meV/atom
Volume ... 68 Å³/f.u.
Uncorrected energy ... -28.58 eV/f.u.

Cell and atoms, written as extended XYZ:
```
4
Lattice="0.000 3.234 3.234 3.234 0.000 3.234 3.234 3.234 0.000" Properties=species:S:1:pos:R:3 pbc="T T T"
Sc 0.000 0.000 0.000
Sn 3.234 3.234 3.234
Rh 1.617 1.617 1.617
Rh 4.851 4.851 4.851
```

No. 2
Computed, not measured: an optimized crystal structure of YAl3C3 at the PBE level of DFT.

Output
Formation enthalpy at 0 K ... -287 meV/atom
Volume ... 89 Å³/f.u.
Uncorrected energy ... -47.40 eV/f.u.

Cell and atoms, written as extended XYZ:
```
14
Lattice="3.439 0.000 0.000 -1.720 2.978 0.000 0.000 0.000 17.344" Properties=species:S:1:pos:R:3 pbc="T T T"
Y 0.000 0.000 0.000
Y 0.000 0.000 8.672
Al 0.000 1.986 2.319
Al 0.000 1.986 6.345
Al 0.000 1.986 13.044
Al 1.720 0.993 4.372
Al 1.720 0.993 10.991
Al 1.720 0.993 15.018
C 0.000 1.986 4.325
C 0.000 1.986 10.264
C 0.000 1.986 15.692
C 1.720 0.993 1.592
C 1.720 0.993 7.020
C 1.720 0.993 12.997
```

No. 3
Computed, not measured: an optimized crystal structure of U4Te3O4 at the PBE level of DFT.

Output
Formation enthalpy at 0 K ... -2383 meV/atom
Volume ... 220 Å³/f.u.
Uncorrected energy ... -97.85 eV/f.u.

Cell and atoms, written as extended XYZ:
```
11
Lattice="-1.982 1.982 14.006 1.982 -1.982 14.006 1.982 1.982 -14.006" Properties=species:S:1:pos:R:3 pbc="T T T"
U 0.000 0.000 1.911
U 0.000 0.000 9.632
U 0.000 0.000 18.380
U 0.000 0.000 26.101
Te 0.000 0.000 5.900
Te 0.000 0.000 14.006
Te 0.000 0.000 22.112
O 1.982 0.000 3.026
O 1.982 0.000 10.980
O 0.000 1.982 3.026
O 0.000 1.982 10.980
```

No. 4
Computed, not measured: an optimized crystal structure of Na14Sc4Ga4Si7S5O48 at the PBE level of DFT.

Output
Formation enthalpy at 0 K ... -2612 meV/atom
Volume ... 1045 Å³/f.u.
Uncorrected energy ... -533.33 eV/f.u.

Cell and atoms, written as extended XYZ:
```
246
Lattice="9.025 0.000 0.000 0.001 15.639 0.000 0.044 0.050 22.222" Properties=species:S:1:pos:R:3 pbc="T T T"
Na 0.000 0.000 0.000
Na 0.056 5.887 21.858
Na 0.104 0.687 7.241
Na 0.148 10.953 14.811
Na 1.139 3.150 3.604
Na 1.195 8.412 18.391
Na 1.288 7.825 11.190
Na 1.296 13.680 10.983
Na 1.300 13.169 3.350
Na 1.598 2.913 10.926
Na 1.679 13.315 18.306
Na 1.709 8.089 3.286
Na 2.839 10.745 16.432
Na 2.882 0.468 9.161
Na 2.897 5.624 1.598
Na 2.977 10.761 5.277
Na 3.006 5.694 12.844
Na 3.047 0.375 20.279
Na 4.129 8.055 14.501
Na 4.132 13.308 7.142
Na 4.236 3.005 21.854
Na 4.517 13.168 14.586
Na 4.548 7.847 22.143
Na 4.628 8.515 7.274
Na 4.652 3.208 14.833
Na 5.674 10.968 3.588
Na 5.727 0.758 18.422
Na 5.800 0.054 11.140
Na 5.813 5.328 3.392
Na 6.125 10.774 10.893
Na 6.186 0.261 3.264
Na 6.324 5.506 18.246
Na 7.309 8.132 9.206
Na 7.313 13.477 1.627
Na 7.432 3.088 16.512
Na 7.423 13.461 12.820
Na 7.491 2.948 5.284
Na 7.527 8.197 20.154
Na 8.614 0.306 14.475
Na 8.667 5.468 7.195
Na 8.753 10.739 21.947
Na 9.048 5.389 14.717
Sc 2.767 10.780 19.813
Sc 2.802 0.325 5.721
Sc 2.884 5.495 9.609
Sc 2.944 0.118 1.235
Sc 3.006 0.391 16.863
Sc 3.042 10.805 8.700
Sc 7.330 8.171 5.747
Sc 7.374 3.070 19.735
Sc 7.359 7.939 12.398
Sc 7.463 13.347 20.704
Sc 7.565 2.958 8.711
Sc 7.595 8.090 16.915
Ga 2.783 5.550 4.904
Ga 2.901 0.092 12.439
Ga 2.928 5.555 20.564
Ga 2.934 5.550 16.136
Ga 2.914 10.717 2.008
Ga 2.943 10.736 13.177
Ga 7.294 13.367 4.923
Ga 7.321 13.340 9.580
Ga 7.410 2.921 13.154
Ga 7.384 2.916 2.016
Ga 7.417 7.849 1.284
Ga 7.550 13.393 16.029
Si 0.139 0.303 3.534
Si 0.392 5.503 18.332
Si 1.164 8.172 14.602
Si 1.564 8.446 22.117
Si 1.583 13.625 14.640
Si 1.631 13.052 22.079
Si 1.652 3.237 7.197
Si 4.151 3.297 18.364
Si 4.247 13.070 10.979
Si 4.251 8.475 10.959
Si 4.240 13.569 3.593
Si 4.718 8.125 3.509
Si 5.617 0.333 14.603
Si 6.051 5.759 14.699
Si 6.078 5.269 22.086
Si 6.127 0.703 22.058
Si 6.203 11.116 7.257
Si 8.701 11.098 18.304
Si 8.721 5.207 10.967
Si 8.744 5.785 3.539
Si 8.786 0.589 10.947
S 0.286 10.796 10.933
S 0.962 13.322 7.233
S 1.051 2.979 22.092
S 1.587 7.839 7.203
S 1.607 2.594 14.557
S 4.214 2.632 3.532
S 4.256 7.863 18.353
S 4.807 2.919 10.969
S 4.844 13.347 18.286
S 5.504 5.501 7.178
S 5.552 10.765 22.092
S 6.095 15.636 7.245
S 6.118 10.464 14.643
S 8.726 10.428 3.506
S 8.759 15.655 18.308
O 0.120 2.709 14.501
O 0.111 7.906 7.092
O 0.145 13.521 8.457
O 0.156 13.227 6.002
O 0.198 2.762 20.922
O 0.196 7.937 13.307
O 0.233 8.496 15.910
O 0.206 3.127 1.117
O 1.073 0.607 4.857
O 1.087 11.011 12.162
O 1.092 0.013 2.249
O 1.138 10.601 9.752
O 1.211 0.080 18.191
O 1.186 10.547 3.454
O 1.262 5.404 16.952
O 1.293 5.810 19.682
O 1.353 10.953 18.320
O 1.352 5.321 10.910
O 1.369 5.625 3.621
O 1.412 0.507 11.106
O 1.738 14.594 13.324
O 1.783 9.365 20.774
O 1.836 12.123 7.302
O 1.874 1.761 15.749
O 1.857 14.539 7.190
O 1.896 4.198 22.001
O 1.874 7.023 8.401
O 1.882 12.056 1.170
O 1.936 1.792 22.215
O 1.927 4.201 5.878
O 2.090 6.812 14.763
O 2.122 9.526 14.488
O 2.177 14.594 22.097
O 2.184 1.957 13.339
O 2.182 3.954 8.552
O 2.177 9.196 7.303
O 2.205 3.941 14.647
O 2.219 12.398 20.709
O 2.209 7.238 5.982
O 2.242 6.949 21.969
O 2.265 14.316 15.953
O 2.248 1.702 7.145
O 2.295 12.149 14.465
O 2.278 9.096 1.180
O 3.526 9.188 12.251
O 3.549 1.750 18.300
O 3.524 12.095 3.395
O 3.551 7.005 10.826
O 3.549 12.462 9.629
O 3.578 14.216 4.953
O 3.592 14.582 11.053
O 3.624 4.006 19.742
O 3.639 7.262 17.143
O 3.635 9.210 18.476
O 3.616 2.052 2.320
O 3.636 4.004 3.667
O 3.738 9.444 3.367
O 3.804 6.735 3.696
O 3.915 4.200 17.021
O 3.915 1.713 11.042
O 3.946 14.563 18.249
O 3.937 4.114 10.861
O 3.937 1.780 4.709
O 3.961 9.358 9.590
O 3.985 12.147 18.384
O 3.985 12.096 12.266
O 4.017 7.058 19.584
O 4.037 14.628 2.382
O 4.409 5.594 14.820
O 4.433 5.418 21.945
O 4.493 0.699 22.180
O 4.525 10.984 7.265
O 4.628 0.040 13.307
O 4.620 0.069 7.131
O 4.631 10.607 14.582
O 4.651 5.706 8.357
O 4.677 10.577 20.931
O 4.709 0.652 15.925
O 4.717 5.407 5.927
O 4.746 10.891 1.134
O 5.579 3.073 12.214
O 5.609 8.451 4.851
O 5.631 13.256 17.033
O 5.670 2.724 9.792
O 5.699 13.555 19.465
O 5.693 2.755 3.479
O 5.720 7.975 18.223
O 5.718 7.847 2.230
O 5.811 3.118 18.382
O 5.878 8.481 11.055
O 5.900 13.214 10.878
O 5.885 13.392 3.653
O 6.214 6.793 13.446
O 6.290 4.275 1.194
O 6.369 4.302 7.270
O 6.369 14.827 8.465
O 6.401 9.613 15.804
O 6.423 11.962 21.984
O 6.402 6.720 7.145
O 6.437 9.561 22.177
O 6.444 1.564 20.712
O 6.470 12.046 5.928
O 6.530 14.582 14.792
O 6.601 1.642 14.452
O 6.686 1.350 7.351
O 6.693 9.904 13.404
O 6.697 11.845 14.762
O 6.739 6.784 22.167
O 6.719 15.032 6.035
O 6.758 6.430 16.010
O 6.755 11.851 8.618
O 6.786 4.285 14.481
O 6.775 9.574 7.195
O 6.811 4.645 20.779
O 6.814 14.854 21.960
O 6.799 1.337 1.168
O 7.995 1.247 12.225
O 8.040 4.299 3.362
O 8.083 9.600 18.248
O 8.073 6.458 4.874
O 8.141 15.054 17.083
O 8.137 14.694 10.743
O 8.144 4.568 9.575
O 8.124 9.846 2.295
O 8.166 1.355 18.418
O 8.174 6.744 10.993
O 8.154 11.803 3.653
O 8.187 11.833 19.662
O 8.201 1.638 3.414
O 8.265 14.550 3.757
O 8.417 6.838 18.300
O 8.410 9.628 11.042
O 8.428 4.207 18.390
O 8.443 12.075 16.990
O 8.443 4.210 12.237
O 8.452 9.588 4.693
O 8.489 14.829 19.506
O 8.475 12.042 10.826
O 8.560 1.485 9.591
O 8.576 6.777 2.254
O 8.886 8.328 0.048
O 8.956 13.474 14.716
O 9.001 13.158 22.042
O 8.999 3.094 7.200
```

No. 5
Computed, not measured: an optimized crystal structure of Li2Bi3P9O28 at the PBE level of DFT.

Output
Formation enthalpy at 0 K ... -2463 meV/atom
Volume ... 581 Å³/f.u.
Uncorrected energy ... -286.97 eV/f.u.

Cell and atoms, written as extended XYZ:
```
42
Lattice="7.130 0.000 0.000 -2.943 9.392 0.000 -1.258 -4.596 8.671" Properties=species:S:1:pos:R:3 pbc="T T T"
Li 0.008 0.028 3.901
Li 2.920 4.768 4.770
Bi -0.951 4.779 4.009
Bi 2.093 4.696 0.000
Bi 3.879 0.017 4.662
P 0.000 0.000 0.000
P -0.394 2.642 1.452
P -0.993 2.013 6.325
P 0.856 -3.037 6.880
P -0.921 7.976 2.052
P 3.849 -3.180 6.619
P 2.072 7.833 1.791
P 3.921 2.783 2.346
P 3.322 2.154 7.219
O -0.115 1.083 1.323
O -2.226 1.934 7.368
O -1.199 0.888 5.264
O -2.536 5.789 5.520
O -1.853 8.435 0.889
O 0.161 3.482 0.341
O 0.081 -3.691 8.064
O -1.043 6.486 2.251
O -1.041 3.398 5.720
O -0.008 2.978 2.894
O 0.850 -1.522 6.908
O 1.796 -0.589 3.329
O 0.216 1.769 7.190
O 2.371 -3.543 7.186
O 0.557 8.339 1.485
O 2.712 3.027 1.481
O 1.132 5.385 5.342
O 2.078 6.318 1.763
O 2.936 1.818 5.777
O 3.969 1.398 2.951
O 3.971 -1.690 6.420
O 2.848 8.487 0.608
O 2.768 1.314 8.330
O 4.781 -3.639 7.782
O 5.464 -0.993 3.151
O 4.127 3.908 3.407
O 5.154 2.862 1.303
O 3.043 3.713 7.348
```

No. 6
Computed, not measured: an optimized crystal structure of RbErP2O7 at the PBE level of DFT.

Output
Formation enthalpy at 0 K ... -3155 meV/atom
Volume ... 181 Å³/f.u.
Uncorrected energy ... -80.91 eV/f.u.

Cell and atoms, written as extended XYZ:
```
44
Lattice="7.798 0.000 0.000 0.000 11.016 0.000 -2.340 0.000 8.434" Properties=species:S:1:pos:R:3 pbc="T T T"
Rb 1.341 1.984 0.512
Rb 0.171 3.524 4.729
Rb 5.287 7.492 3.705
Rb 4.117 9.032 7.922
Er 1.236 6.584 2.120
Er 0.066 9.941 6.337
Er 5.393 1.076 2.097
Er 4.223 4.432 6.314
P -0.892 6.610 6.884
P 0.278 9.914 2.667
P 1.804 7.027 5.782
P 2.974 9.497 1.565
P 2.485 1.519 6.868
P 3.655 3.989 2.652
P 5.180 1.102 5.766
P 6.350 4.406 1.550
O -1.616 5.532 6.059
O -0.446 10.992 1.842
O -1.147 8.017 6.311
O 0.023 8.508 2.095
O -1.204 6.513 8.366
O -0.034 10.012 4.149
O 0.700 6.287 6.739
O 1.870 10.237 2.522
O 1.390 6.727 4.343
O 2.560 9.798 0.126
O 1.156 0.871 6.470
O 2.326 4.637 2.253
O 2.963 8.006 1.924
O 1.793 8.519 6.141
O 3.665 2.498 2.292
O 2.495 3.010 6.509
O 3.133 6.379 6.180
O 4.303 10.145 1.963
O 2.899 1.218 8.308
O 4.069 4.290 4.091
O 3.589 0.779 5.911
O 4.759 4.729 1.694
O 5.492 1.005 4.284
O 6.662 4.503 0.067
O 5.436 2.509 6.339
O 6.606 3.000 2.122
O 5.904 0.024 6.591
O 7.074 5.484 2.374
```

No. 7
Computed, not measured: an optimized crystal structure of Pr4RuI5 at the PBE level of DFT.

Output
Formation enthalpy at 0 K ... -1291 meV/atom
Volume ... 391 Å³/f.u.
Uncorrected energy ... -47.03 eV/f.u.

Cell and atoms, written as extended XYZ:
```
10
Lattice="9.903 -2.163 0.000 9.903 2.163 0.000 -2.246 0.000 9.124" Properties=species:S:1:pos:R:3 pbc="T T T"
Pr -0.455 0.000 1.927
Pr 5.045 0.000 8.459
Pr 12.514 0.000 0.665
Pr 18.014 0.000 7.196
Ru 9.903 0.000 0.000
I 2.596 0.000 3.097
I 1.543 0.000 7.592
I 8.780 0.000 4.562
I 16.016 0.000 1.532
I 14.963 0.000 6.026
```

No. 8
Computed, not measured: an optimized crystal structure of Mg7Si4 at the PBE level of DFT.

Output
Formation enthalpy at 0 K ... 101 meV/atom
Volume ... 217 Å³/f.u.
Uncorrected energy ... -32.08 eV/f.u.

Cell and atoms, written as extended XYZ:
```
22
Lattice="5.157 0.000 0.000 -0.677 5.945 0.000 -1.227 -0.829 14.188" Properties=species:S:1:pos:R:3 pbc="T T T"
Mg 0.000 0.000 0.000
Mg -0.862 4.964 3.572
Mg -1.168 2.150 13.886
Mg 0.140 1.972 2.619
Mg 0.321 1.988 5.589
Mg 0.330 0.620 8.224
Mg 0.137 3.627 8.347
Mg -0.197 5.167 11.164
Mg 0.300 2.208 11.180
Mg 2.505 0.024 2.006
Mg 2.736 3.096 1.436
Mg 2.757 2.213 9.120
Mg 2.410 5.176 9.381
Mg 2.969 3.904 6.446
Si 0.504 4.969 5.917
Si 0.842 3.947 13.506
Si 1.747 3.930 3.950
Si 1.363 0.458 13.517
Si 2.772 0.902 6.623
Si 2.954 1.739 4.186
Si 2.905 1.004 11.615
Si 2.693 3.546 11.736
```